Here is a relaxed Y2Cr3O9 crystal from the Materials Project database. Energies are from GGA+U.

abc: 3.7751 3.7751 11.5346
angles: 90.00 90.00 90.00
Last column: nearest neighbours and their distance in Å.
Positions (direct):
1 Cr 0.0000 0.0000 0.6525  5 O 1.76-1.93
2 Cr 0.0000 0.0000 0.0000  6 O 1.89-1.93
3 Cr 0.0000 0.0000 0.3475  5 O 1.76-1.93
4 O 0.0000 0.0000 0.5000  2 Cr 1.76
5 O 0.5000 0.0000 0.0000  2 Cr 1.89
6 O 0.5000 0.0000 0.3139  2 Cr 1.93
7 O 0.5000 0.0000 0.6861  2 Cr 1.93
8 O 0.0000 0.0000 0.8330  2 Cr 1.93-2.08
9 O 0.0000 0.5000 0.6861  2 Cr 1.93
10 O 0.0000 0.5000 0.0000  2 Cr 1.89
11 O 0.0000 0.0000 0.1670  2 Cr 1.93-2.08
12 O 0.0000 0.5000 0.3139  2 Cr 1.93
13 Y 0.5000 0.5000 0.8112  4 O 2.38
14 Y 0.5000 0.5000 0.1888  4 O 2.38

Results
Space-group type: P4/mmm, No. 123
Total magnetic moment, μB/atom: 0.110
ΔE to the lowest computed polymorph, meV per atom: 324
Formation energy from the elements, meV/atom: -2326

Here is a relaxed LaWClO4 crystal from the Materials Project database. Energies are from GGA+U.

abc: 3.9396 6.0577 19.5415
angles: 90.00 90.00 90.00
Last column: nearest neighbours and their distance in Å.
Positions (direct):
1 O 0.2346 0.2500 0.6748  2 W 1.87-2.07
2 O 0.2538 0.7500 0.2286  1 W 1.80
3 O 0.7654 0.7500 0.3252  2 W 1.87-2.07
4 O 0.7538 0.2500 0.2714  1 W 1.80
5 O 0.7548 0.5196 0.1338  1 W 1.87
6 O 0.2462 0.7500 0.7286  1 W 1.80
7 O 0.7462 0.2500 0.7714  1 W 1.80
8 O 0.2654 0.2500 0.1748  2 W 1.87-2.07
9 O 0.7346 0.7500 0.8252  2 W 1.87-2.07
10 O 0.2452 0.4804 0.8662  1 W 1.87
11 O 0.7548 0.9804 0.1338  1 W 1.87
12 O 0.7452 0.5196 0.6338  1 W 1.87
13 O 0.2548 0.0196 0.3662  1 W 1.87
14 O 0.7452 0.9804 0.6338  1 W 1.87
15 O 0.2548 0.4804 0.3662  1 W 1.87
16 O 0.2452 0.0196 0.8662  1 W 1.87
17 Cl 0.7525 0.7500 0.9878  2 La 2.98-3.00, 3 O 3.17-3.18
18 Cl 0.2525 0.2500 0.5122  2 La 2.98-3.00, 3 O 3.17-3.18
19 Cl 0.2475 0.2500 0.0122  2 La 2.98-3.00, 3 O 3.17-3.18
20 Cl 0.7475 0.7500 0.4878  2 La 2.98-3.00, 3 O 3.17-3.18
21 La 0.2556 0.7500 0.1029  5 O 2.46-2.49
22 La 0.7556 0.2500 0.3971  5 O 2.46-2.49
23 La 0.7444 0.2500 0.8971  5 O 2.46-2.49
24 La 0.2444 0.7500 0.6029  5 O 2.46-2.49
25 W 0.2911 0.7500 0.3205  4 O 1.80-1.87
26 W 0.7089 0.2500 0.6795  4 O 1.80-1.87
27 W 0.2089 0.7500 0.8205  4 O 1.80-1.87
28 W 0.7911 0.2500 0.1795  4 O 1.80-1.87

Results
Space-group type: Pnma, No. 62
Total magnetic moment, μB/atom: 0.000
Formation energy from the elements, meV/atom: -2711

The lowest formation energy from the elements belongs to which entry?
LaWClO4

formation energy from the elements of number 2 (LaWClO4)?
-2711 meV/atom

What is the total magnetic moment in the second record?
0.000 μB/atom